# 1
{"formula": "MgTa4Mn4Nb4O24", "functional": "PBE with a Hubbard U", "state": "relaxed", "relative_energy_mev_per_atom": 23.0, "mass_density_kg_m3": 6132, "lattice": [[4.149, 2.245, -2.280], [-1.748, 5.345, 2.291], [9.056, -2.070, 11.431]], "species": ["O", "O", "O", "O", "O", "O", "O", "O", "O", "O", "O", "O", "O", "O", "O", "O", "O", "O", "O", "O", "O", "O", "O", "O", "Nb", "Nb", "Nb", "Nb", "Mn", "Mn", "Mn", "Mn", "Ta", "Ta", "Ta", "Ta", "Mg"], "fractional_positions": [[0.525, 0.390, 0.109], [0.500, 0.151, 0.916], [0.661, 0.624, 0.251], [0.469, 0.885, 0.405], [0.585, 0.620, 0.581], [0.447, 0.594, 0.901], [0.555, 0.094, 0.598], [0.963, 0.091, 0.405], [0.085, 0.371, 0.580], [0.452, 0.835, 0.087], [0.149, 0.369, 0.249], [0.968, 0.406, 0.892], [0.975, 0.140, 0.079], [0.148, 0.853, 0.261], [0.048, 0.888, 0.598], [0.928, 0.618, 0.423], [0.049, 0.574, 0.105], [0.851, 0.638, 0.753], [0.433, 0.364, 0.420], [0.366, 0.868, 0.743], [0.669, 0.096, 0.259], [0.848, 0.114, 0.744], [0.021, 0.847, 0.918], [0.350, 0.387, 0.754], [0.819, 0.320, 0.174], [0.202, 0.173, 0.659], [0.676, 0.331, 0.825], [0.316, 0.165, 0.340], [0.757, 0.332, 0.500], [0.636, 0.860, 0.955], [0.258, 0.663, 0.501], [0.241, 0.350, 0.999], [0.167, 0.662, 0.821], [0.706, 0.839, 0.655], [0.809, 0.831, 0.349], [0.348, 0.639, 0.185], [0.102, 0.859, 0.045]]}

---

# 2
{"formula": "Cr3CdF6", "functional": "PBE with a Hubbard U", "state": "relaxed", "mass_density_kg_m3": 1015, "lattice": [[-3.579, 4.220, -3.174], [4.800, -2.785, -4.122], [-8.094, -12.529, -3.667]], "species": ["F", "F", "F", "F", "F", "F", "Cr", "Cr", "Cr", "Cd"], "fractional_positions": [[0.084, 0.051, 0.388], [0.665, 0.786, 0.954], [0.973, 0.280, 0.923], [0.916, 0.949, 0.612], [0.027, 0.720, 0.077], [0.335, 0.214, 0.046], [0.000, 0.500, 0.000], [0.500, 0.500, 0.000], [0.000, 0.000, 0.500], [0.000, 0.000, 0.000]]}

---

# 3
{"formula": "CsCrO3F", "functional": "PBE with a Hubbard U", "state": "relaxed", "mass_density_kg_m3": 3195, "lattice": [[5.890, 0.000, 0.039], [0.000, 5.890, 0.039], [2.995, 2.995, 7.589]], "species": ["Cs", "Cs", "O", "O", "O", "O", "O", "O", "F", "F", "Cr", "Cr"], "fractional_positions": [[0.868, 0.625, 0.248], [0.125, 0.368, 0.748], [0.789, 0.817, 0.874], [0.671, 0.187, 0.128], [0.333, 0.815, 0.877], [0.315, 0.833, 0.377], [0.687, 0.171, 0.628], [0.317, 0.289, 0.374], [0.690, 0.699, 0.620], [0.199, 0.190, 0.120], [0.623, 0.882, 0.753], [0.382, 0.123, 0.253]]}

---

# 4
{"formula": "Cs2CoS2O14", "functional": "PBE with a Hubbard U", "state": "relaxed", "mass_density_kg_m3": 2601, "lattice": [[13.101, 0.000, 0.000], [0.000, 6.607, 0.000], [0.000, 2.461, 9.040]], "species": ["O", "O", "O", "O", "O", "O", "O", "O", "O", "O", "O", "O", "O", "O", "O", "O", "O", "O", "O", "O", "O", "O", "O", "O", "O", "O", "O", "O", "Cs", "Cs", "Cs", "Cs", "Co", "Co", "S", "S", "S", "S"], "fractional_positions": [[0.591, 0.567, 0.621], [0.770, 0.104, 0.586], [0.580, 0.289, 0.961], [0.038, 0.758, 0.001], [0.909, 0.567, 0.121], [0.420, 0.857, 0.770], [0.420, 0.711, 0.039], [0.270, 0.896, 0.914], [0.821, 0.437, 0.633], [0.179, 0.563, 0.367], [0.321, 0.563, 0.867], [0.412, 0.341, 0.625], [0.080, 0.857, 0.270], [0.588, 0.659, 0.375], [0.679, 0.437, 0.133], [0.230, 0.896, 0.414], [0.538, 0.242, 0.499], [0.080, 0.711, 0.539], [0.091, 0.433, 0.879], [0.409, 0.433, 0.379], [0.462, 0.758, 0.501], [0.920, 0.289, 0.461], [0.730, 0.104, 0.086], [0.920, 0.143, 0.730], [0.088, 0.341, 0.125], [0.580, 0.143, 0.230], [0.962, 0.242, 0.999], [0.912, 0.659, 0.875], [0.345, 0.155, 0.140], [0.155, 0.155, 0.640], [0.845, 0.845, 0.360], [0.655, 0.845, 0.860], [0.000, 0.500, 0.000], [0.500, 0.500, 0.500], [0.644, 0.242, 0.095], [0.856, 0.242, 0.595], [0.356, 0.758, 0.905], [0.144, 0.758, 0.405]]}

---

# 5
{"formula": "LiCrP3H8O13", "functional": "PBE with a Hubbard U", "state": "relaxed", "relative_energy_mev_per_atom": 0.0, "mass_density_kg_m3": 2362, "lattice": [[-0.917, 5.970, 3.892], [-0.754, -2.811, 7.121], [9.075, 2.465, 3.298]], "species": ["P", "P", "P", "P", "P", "P", "Cr", "Cr", "O", "O", "O", "O", "O", "O", "O", "O", "O", "O", "O", "O", "O", "O", "O", "O", "O", "O", "O", "O", "O", "O", "O", "O", "O", "O", "H", "H", "H", "H", "H", "H", "H", "H", "H", "H", "H", "H", "H", "H", "H", "H", "Li", "Li"], "fractional_positions": [[0.674, 0.195, 0.258], [0.593, 0.459, 0.731], [0.326, 0.805, 0.742], [0.242, 0.806, 0.475], [0.407, 0.541, 0.269], [0.758, 0.194, 0.525], [0.807, 0.819, 0.770], [0.193, 0.181, 0.230], [0.974, 0.745, 0.101], [0.381, 0.589, 0.746], [0.583, 0.347, 0.866], [0.083, 0.710, 0.559], [0.242, 0.440, 0.328], [0.270, 0.983, 0.058], [0.417, 0.653, 0.134], [0.422, 0.661, 0.389], [0.888, 0.146, 0.187], [0.193, 0.965, 0.379], [0.212, 0.370, 0.057], [0.112, 0.854, 0.813], [0.526, 0.123, 0.209], [0.917, 0.290, 0.441], [0.807, 0.035, 0.621], [0.730, 0.017, 0.942], [0.826, 0.715, 0.379], [0.758, 0.560, 0.672], [0.026, 0.255, 0.899], [0.578, 0.339, 0.611], [0.174, 0.285, 0.621], [0.619, 0.411, 0.254], [0.361, 0.863, 0.575], [0.788, 0.630, 0.943], [0.474, 0.877, 0.791], [0.639, 0.137, 0.425], [0.901, 0.340, 0.914], [0.689, 0.138, 0.899], [0.181, 0.183, 0.570], [0.651, 0.628, 0.001], [0.099, 0.660, 0.086], [0.080, 0.261, 0.795], [0.360, 0.980, 0.964], [0.858, 0.665, 0.009], [0.311, 0.862, 0.101], [0.920, 0.739, 0.205], [0.819, 0.817, 0.430], [0.640, 0.020, 0.036], [0.349, 0.372, 0.999], [0.142, 0.335, 0.991], [0.691, 0.694, 0.398], [0.309, 0.306, 0.602], [0.000, 0.000, 0.000], [0.000, 0.500, 0.500]]}

---

# 6
{"formula": "BaCaMo4O8", "functional": "PBE with a Hubbard U", "state": "relaxed", "mass_density_kg_m3": 5111, "lattice": [[2.920, -5.058, 0.000], [2.920, 5.058, 0.000], [0.000, 0.000, 7.580]], "species": ["Ba", "Mo", "Mo", "Mo", "Mo", "Ca", "O", "O", "O", "O", "O", "O", "O", "O"], "fractional_positions": [[0.000, 0.000, 0.000], [0.333, 0.667, 0.730], [0.667, 0.333, 0.270], [0.667, 0.333, 0.730], [0.333, 0.667, 0.270], [0.000, 0.000, 0.500], [0.305, 0.000, 0.299], [0.000, 0.305, 0.299], [0.000, 0.695, 0.701], [0.695, 0.695, 0.299], [0.695, 0.000, 0.701], [0.333, 0.667, 0.000], [0.667, 0.333, 0.000], [0.305, 0.305, 0.701]]}

---

# 7
{"formula": "Li9Mn2Co5O16", "functional": "PBE with a Hubbard U", "state": "relaxed", "relative_energy_mev_per_atom": 76.5, "mass_density_kg_m3": 4151, "lattice": [[2.997, 0.000, 0.000], [-0.184, 5.003, 0.000], [-0.532, -1.028, 19.290]], "species": ["O", "O", "O", "O", "O", "O", "O", "O", "O", "O", "O", "O", "O", "O", "O", "O", "Li", "Li", "Li", "Li", "Li", "Li", "Li", "Li", "Li", "Co", "Co", "Co", "Co", "Co", "Mn", "Mn"], "fractional_positions": [[0.027, 0.053, 0.193], [0.006, 0.944, 0.807], [0.534, 0.802, 0.942], [0.533, 0.561, 0.194], [0.486, 0.331, 0.446], [0.034, 0.311, 0.943], [0.509, 0.441, 0.807], [0.004, 0.776, 0.444], [0.515, 0.668, 0.554], [0.492, 0.058, 0.690], [0.466, 0.199, 0.059], [0.997, 0.226, 0.556], [0.972, 0.443, 0.307], [0.966, 0.689, 0.057], [0.994, 0.561, 0.692], [0.467, 0.938, 0.309], [0.003, 0.622, 0.874], [0.510, 0.374, 0.620], [0.996, 0.883, 0.621], [0.499, 0.126, 0.872], [0.490, 0.628, 0.382], [0.994, 0.379, 0.123], [0.501, 0.000, 0.501], [0.003, 0.113, 0.384], [0.504, 0.871, 0.126], [0.502, 0.500, 0.000], [0.001, 0.251, 0.748], [0.000, 0.500, 0.500], [0.501, 0.750, 0.749], [0.997, 0.750, 0.252], [0.498, 0.250, 0.251], [0.001, 0.000, 0.000]]}

---

# 8
{"formula": "K2MnH4S2O10", "functional": "PBE with a Hubbard U", "state": "relaxed", "mass_density_kg_m3": 2557, "lattice": [[6.616, 0.000, 0.000], [2.571, 6.984, 0.000], [3.016, 2.300, 10.155]], "species": ["H", "H", "H", "H", "H", "H", "H", "H", "O", "O", "O", "O", "O", "O", "O", "O", "O", "O", "O", "O", "O", "O", "O", "O", "O", "O", "O", "O", "S", "S", "S", "S", "K", "K", "K", "K", "Mn", "Mn"], "fractional_positions": [[0.731, 0.340, 0.643], [0.269, 0.660, 0.357], [0.356, 0.681, 0.202], [0.841, 0.577, 0.786], [0.357, 0.323, 0.295], [0.643, 0.677, 0.705], [0.644, 0.319, 0.798], [0.159, 0.423, 0.214], [0.690, 0.071, 0.545], [0.857, 0.342, 0.456], [0.462, 0.649, 0.621], [0.190, 0.106, 0.047], [0.394, 0.089, 0.824], [0.709, 0.688, 0.774], [0.538, 0.351, 0.379], [0.228, 0.728, 0.271], [0.810, 0.894, 0.953], [0.109, 0.880, 0.682], [0.926, 0.632, 0.137], [0.606, 0.911, 0.176], [0.143, 0.658, 0.544], [0.291, 0.312, 0.226], [0.772, 0.272, 0.729], [0.074, 0.368, 0.863], [0.310, 0.929, 0.455], [0.415, 0.332, 0.928], [0.585, 0.668, 0.072], [0.891, 0.120, 0.318], [0.268, 0.228, 0.915], [0.256, 0.775, 0.575], [0.744, 0.225, 0.425], [0.732, 0.772, 0.085], [0.789, 0.749, 0.400], [0.211, 0.251, 0.600], [0.265, 0.734, 0.926], [0.735, 0.266, 0.074], [0.246, 0.027, 0.249], [0.754, 0.973, 0.751]]}

---

# 9
{"formula": "Li3MnFe2B3O9", "functional": "PBE with a Hubbard U", "state": "relaxed", "relative_energy_mev_per_atom": 1.2, "mass_density_kg_m3": 3250, "lattice": [[-1.008, 2.743, 1.178], [-7.436, -1.290, -3.358], [-4.226, -6.668, 11.910]], "species": ["O", "O", "O", "O", "O", "O", "O", "O", "O", "O", "O", "O", "O", "O", "O", "O", "O", "O", "Fe", "Fe", "Fe", "Fe", "Li", "Li", "Li", "Li", "Li", "Li", "B", "B", "B", "B", "B", "B", "Mn", "Mn"], "fractional_positions": [[0.500, 0.151, 0.626], [0.000, 0.140, 0.945], [0.500, 0.656, 0.126], [0.500, 0.981, 0.764], [0.000, 0.638, 0.444], [0.500, 0.149, 0.290], [0.500, 0.862, 0.609], [0.500, 0.486, 0.263], [0.500, 0.361, 0.781], [0.500, 0.490, 0.932], [0.000, 0.012, 0.097], [0.500, 0.986, 0.430], [0.000, 0.518, 0.597], [0.500, 0.365, 0.109], [0.500, 0.858, 0.279], [0.500, 0.652, 0.792], [0.000, 0.347, 0.461], [0.000, 0.849, 0.957], [0.000, 0.364, 0.004], [0.000, 0.824, 0.815], [0.000, 0.811, 0.180], [0.000, 0.861, 0.504], [0.500, 0.708, 0.991], [0.500, 0.206, 0.491], [0.500, 0.635, 0.651], [0.500, 0.133, 0.150], [0.500, 0.660, 0.358], [0.500, 0.159, 0.858], [0.500, 0.502, 0.165], [0.500, 0.998, 0.333], [0.000, 0.501, 0.501], [0.500, 0.998, 0.667], [0.000, 0.000, 0.000], [0.500, 0.501, 0.835], [0.000, 0.309, 0.680], [0.000, 0.326, 0.314]]}

---

One value per record, in order, for energy of formation from the pure elements: -2884, -1719, -2110, -1042, -1960, -1795, -1788, -1893, -2387 meV/atom.